HfCoGe: optimized geometry, r2SCAN.

Lattice parameters (Å, degrees): 6.426 3.975 7.066 90.00 90.00 90.00
Positions (direct):
1 Hf 0.002 0.250 0.202
2 Hf 0.498 0.750 0.702
3 Hf 0.502 0.250 0.298
4 Hf 0.998 0.750 0.798
5 Co 0.152 0.250 0.565
6 Co 0.348 0.750 0.065
7 Co 0.652 0.250 0.935
8 Co 0.848 0.750 0.435
9 Ge 0.224 0.750 0.394
10 Ge 0.276 0.250 0.894
11 Ge 0.724 0.750 0.106
12 Ge 0.776 0.250 0.606

Summary:
VASP energy (Ry per atom): -1.818
Formation energy (eV per atom): -0.65
Size of the total moment (μB/cell): 3.645
Space-group type: No. 62

=====

Nb5Te4: optimized geometry, r2SCAN.

Lattice parameters (Å, degrees): 7.593 7.593 7.593 93.41 93.41 151.78
Positions (direct):
1 Nb 0.000 0.000 0.000
2 Nb 0.312 0.619 0.930
3 Nb 0.381 0.312 0.693
4 Nb 0.619 0.688 0.307
5 Nb 0.688 0.381 0.070
6 Te 0.062 0.716 0.777
7 Te 0.284 0.062 0.346
8 Te 0.716 0.938 0.654
9 Te 0.938 0.284 0.223

Summary:
VASP energy (Ry per atom): -1.872
Formation energy (eV per atom): -0.43
Size of the total moment (μB/cell): 0.000
Space-group type: No. 87

=====

Ca4H12Rh3: optimized geometry, r2SCAN.

Lattice parameters (Å, degrees): 6.296 6.296 6.296 109.47 109.47 109.47
Positions (direct):
1 Ca 0.000 0.000 0.500
2 Ca 0.000 0.500 0.000
3 Ca 0.500 0.000 0.000
4 Ca 0.500 0.500 0.500
5 H 0.000 0.267 0.267
6 H 0.000 0.733 0.733
7 H 0.250 0.500 0.750
8 H 0.250 0.750 0.500
9 H 0.267 0.000 0.267
10 H 0.267 0.267 0.000
11 H 0.500 0.250 0.750
12 H 0.500 0.750 0.250
13 H 0.733 0.000 0.733
14 H 0.733 0.733 0.000
15 H 0.750 0.250 0.500
16 H 0.750 0.500 0.250
17 Rh 0.000 0.500 0.500
18 Rh 0.500 0.000 0.500
19 Rh 0.500 0.500 0.000

Summary:
VASP energy (Ry per atom): -0.599
Formation energy (eV per atom): -0.67
Size of the total moment (μB/cell): 0.000
Space-group type: No. 229

=====

EuFe2As2: optimized geometry, r2SCAN.

Lattice parameters (Å, degrees): 6.133 6.133 6.133 142.53 142.53 54.04
Positions (direct):
1 Eu 0.000 0.000 0.000
2 Fe 0.250 0.750 0.500
3 Fe 0.750 0.250 0.500
4 As 0.356 0.356 0.000
5 As 0.644 0.644 0.000

Summary:
VASP energy (Ry per atom): -1.456
Formation energy (eV per atom): -0.45
Size of the total moment (μB/cell): 6.841
Space-group type: No. 139

=====

GdCu4Au: optimized geometry, r2SCAN.

Lattice parameters (Å, degrees): 5.017 5.017 5.017 60.00 60.00 60.00
Positions (direct):
1 Gd 0.000 0.000 0.000
2 Cu 0.376 0.376 0.376
3 Cu 0.376 0.376 0.872
4 Cu 0.376 0.872 0.376
5 Cu 0.872 0.376 0.376
6 Au 0.750 0.750 0.750

Summary:
VASP energy (Ry per atom): -1.706
Formation energy (eV per atom): -0.31
Size of the total moment (μB/cell): 7.556
Space-group type: No. 216

=====

NbCl4F: optimized geometry, r2SCAN.

Lattice parameters (Å, degrees): 8.276 9.296 10.025 77.21 67.75 69.26
Positions (direct):
1 Nb 0.013 0.296 0.272
2 Nb 0.242 0.234 0.828
3 Nb 0.758 0.766 0.172
4 Nb 0.987 0.704 0.728
5 Cl 0.039 0.794 0.141
6 Cl 0.120 0.647 0.494
7 Cl 0.158 0.040 0.313
8 Cl 0.241 0.741 0.745
9 Cl 0.267 0.377 0.225
10 Cl 0.355 0.219 0.584
11 Cl 0.368 0.984 0.902
12 Cl 0.466 0.324 0.836
13 Cl 0.534 0.676 0.164
14 Cl 0.632 0.016 0.098
15 Cl 0.645 0.781 0.416
16 Cl 0.733 0.623 0.775
17 Cl 0.759 0.259 0.255
18 Cl 0.842 0.960 0.687
19 Cl 0.880 0.353 0.506
20 Cl 0.961 0.206 0.859
21 F 0.105 0.472 0.797
22 F 0.116 0.283 0.046
23 F 0.884 0.717 0.954
24 F 0.895 0.528 0.203

Summary:
VASP energy (Ry per atom): -0.772
Formation energy (eV per atom): -1.76
Size of the total moment (μB/cell): 0.000
Space-group type: No. 2

=====

TbGaI: optimized geometry, r2SCAN.

Lattice parameters (Å, degrees): 4.184 4.184 11.662 90.00 90.00 120.00
Positions (direct):
1 Tb 0.000 0.000 0.173
2 Tb 0.000 0.000 0.827
3 Ga 0.333 0.667 0.029
4 Ga 0.667 0.333 0.971
5 I 0.333 0.667 0.655
6 I 0.667 0.333 0.345

Summary:
VASP energy (Ry per atom): -1.737
Formation energy (eV per atom): -1.23
Size of the total moment (μB/cell): 0.000
Space-group type: No. 164

=====

Sr8Fe3N8: optimized geometry, r2SCAN.

Lattice parameters (Å, degrees): 9.752 9.752 7.454 105.36 105.36 31.74
Positions (direct):
1 Sr 0.030 0.030 0.262
2 Sr 0.200 0.200 0.807
3 Sr 0.333 0.333 0.531
4 Sr 0.405 0.405 0.034
5 Sr 0.595 0.595 0.966
6 Sr 0.667 0.667 0.469
7 Sr 0.800 0.800 0.193
8 Sr 0.970 0.970 0.738
9 Fe 0.188 0.188 0.206
10 Fe 0.500 0.500 0.500
11 Fe 0.812 0.812 0.794
12 N 0.108 0.108 0.016
13 N 0.178 0.178 0.430
14 N 0.276 0.276 0.169
15 N 0.473 0.473 0.719
16 N 0.527 0.527 0.281
17 N 0.724 0.724 0.831
18 N 0.822 0.822 0.570
19 N 0.892 0.892 0.984

Summary:
VASP energy (Ry per atom): -0.976
Formation energy (eV per atom): -0.78
Size of the total moment (μB/cell): 8.001
Space-group type: No. 12